12
Lattice="-1.871 -2.811 -2.488 0.031 -3.674 4.128 -7.333 2.703 2.461" Properties=species:S:1:pos:R:3 comment="MgPd2 (PBE, optimized geometry)" spacegroup="No. 62" e_form_ev_per_atom=-0.6068 pbc="T T T"
Mg -4.345 -1.637 -0.185
Mg -4.828 -2.144 4.286
Mg -2.102 -4.295 1.131
Mg -7.071 0.514 2.970
Pd -1.933 -2.491 -1.035
Pd -7.240 -1.290 5.136
Pd -4.515 -3.370 1.901
Pd -4.658 -0.411 2.200
Pd -6.799 -0.376 0.236
Pd -2.374 -3.405 3.865
Pd -6.987 -2.138 2.367
Pd -2.186 -1.643 1.733



24
Lattice="-1.395 -8.447 0.632 -8.033 -3.026 0.125 -3.048 -4.363 -6.736" Properties=species:S:1:pos:R:3 comment="Mg2Pd (PBE, optimized geometry)" spacegroup="No. 227" e_form_ev_per_atom=-0.5277 pbc="T T T"
Mg -7.336 -4.928 -1.086
Mg -4.288 -5.745 -5.280
Mg -9.199 -7.595 -5.204
Mg -3.817 -2.058 -0.285
Mg -3.278 -8.242 -0.776
Mg -5.001 -3.754 -2.903
Mg -2.422 -5.860 -2.705
Mg -4.359 -5.341 -0.039
Mg -8.189 -10.092 -0.700
Mg -1.237 -4.165 -0.087
Mg -7.798 -9.898 -3.737
Mg -5.141 -10.909 -4.894
Mg -1.879 -2.577 -2.951
Mg -7.100 -5.674 -4.053
Mg -6.274 -7.716 -0.369
Mg -3.782 -8.385 -3.800
Pd -7.544 -12.222 -5.083
Pd -10.509 -13.339 -5.037
Pd -9.994 -10.221 -5.270
Pd -8.053 -7.574 -2.392
Pd -9.384 -11.728 -2.550
Pd -5.602 -9.575 -2.205
Pd -5.087 -6.457 -2.438
Pd -6.212 -8.067 -4.925



3
Lattice="0.675 0.057 5.516 3.358 3.051 3.209 -3.664 0.065 -4.178" Properties=species:S:1:pos:R:3 comment="Mg2Pd (PBE, optimized geometry)" spacegroup="No. 139" e_form_ev_per_atom=-0.5251 pbc="T T T"
Mg 2.614 2.015 5.656
Mg 1.418 1.093 3.069
Pd 0.000 0.000 0.000



16
Lattice="-3.227 2.902 0.248 -0.996 -1.551 5.199 6.836 7.303 3.489" Properties=species:S:1:pos:R:3 comment="Mg3Pd5 (PBE, optimized geometry)" spacegroup="No. 55" e_form_ev_per_atom=-0.6485 pbc="T T T"
Mg 3.418 3.651 1.744
Mg -0.498 -0.776 2.600
Mg -0.835 2.209 1.380
Mg 3.449 6.445 7.555
Mg 2.385 5.552 4.159
Mg 0.229 3.102 4.777
Pd 0.870 4.024 2.328
Pd 1.743 4.629 6.608
Pd 4.117 7.409 4.966
Pd -1.504 1.245 3.970
Pd 1.296 1.204 2.768
Pd 4.544 4.547 5.920
Pd 4.951 5.225 3.274
Pd 0.889 0.526 5.414
Pd 0.000 0.000 0.000
Pd 2.920 2.876 4.344



150
Lattice="13.754 -7.941 0.000 0.000 15.882 0.000 0.000 0.000 15.611" Properties=species:S:1:pos:R:3 comment="Mg149Pd (PBE, optimized geometry)" spacegroup="No. 187" magnetic_moment_mub_per_cell=0.01 e_form_ev_per_atom=-0.0342 pbc="T T T"
Mg 5.482 -3.163 0.000
Mg 8.274 -4.775 0.000
Mg 2.656 -1.508 0.000
Mg 11.121 -6.395 0.000
Mg 13.732 -4.887 0.000
Mg 2.656 1.508 0.000
Mg 5.477 0.000 0.000
Mg 11.016 -3.198 0.000
Mg 8.250 -1.593 0.000
Mg 2.731 4.730 0.000
Mg 13.753 -1.612 0.000
Mg 5.482 3.163 0.000
Mg 11.009 0.000 0.000
Mg 8.250 1.593 0.000
Mg 5.504 6.350 0.000
Mg 2.747 7.941 0.000
Mg 13.753 1.612 0.000
Mg 8.274 4.775 0.000
Mg 11.016 3.198 0.000
Mg 5.504 9.533 0.000
Mg 2.731 11.152 0.000
Mg 8.293 7.941 0.000
Mg 13.732 4.887 0.000
Mg 11.121 6.395 0.000
Mg 0.883 1.529 2.495
Mg 0.883 14.354 2.495
Mg 11.989 7.941 2.495
Mg 0.907 4.735 2.585
Mg 3.647 3.153 2.585
Mg 0.907 11.148 2.585
Mg 9.201 6.359 2.585
Mg 9.201 9.523 2.585
Mg 3.647 12.730 2.585
Mg 6.420 4.763 2.593
Mg 0.915 7.941 2.593
Mg 6.420 11.119 2.593
Mg 3.662 6.343 2.592
Mg 3.662 9.539 2.592
Mg 6.430 7.941 2.592
Mg 9.167 -3.170 2.601
Mg 6.425 -1.587 2.601
Mg 11.916 -1.583 2.601
Mg 6.425 1.587 2.601
Mg 9.167 3.170 2.601
Mg 11.916 1.583 2.601
Mg 9.170 0.000 2.602
Mg 3.689 0.000 2.612
Mg 11.910 -4.747 2.612
Mg 11.910 4.747 2.612
Mg 0.000 0.000 5.173
Mg 11.015 9.518 5.181
Mg 2.736 14.298 5.181
Mg 2.736 1.584 5.181
Mg 0.004 3.161 5.181
Mg 0.004 12.721 5.181
Mg 11.015 6.364 5.181
Mg 5.495 12.707 5.195
Mg 8.257 11.112 5.195
Mg 5.495 3.175 5.195
Mg 0.002 6.346 5.195
Mg 8.257 4.770 5.195
Mg 0.002 9.536 5.195
Mg 2.749 4.762 5.197
Mg 2.749 11.120 5.197
Mg 8.256 7.941 5.197
Mg 2.751 7.941 5.201
Mg 5.502 6.353 5.201
Mg 5.502 9.529 5.201
Mg 8.251 -1.592 5.206
Mg 8.251 1.592 5.206
Mg 11.007 0.000 5.206
Mg 5.499 0.000 5.208
Mg 11.005 -3.179 5.208
Mg 11.005 3.179 5.208
Mg 0.915 1.586 7.806
Mg 11.924 -4.770 7.806
Mg 3.662 0.000 7.806
Mg 6.420 -1.589 7.806
Mg 9.168 -3.176 7.806
Mg 0.913 4.758 7.806
Mg 3.664 3.170 7.806
Mg 9.170 0.000 7.806
Mg 11.921 -1.587 7.806
Mg 6.420 1.589 7.806
Mg 3.665 6.349 7.806
Mg 6.420 4.763 7.806
Mg 0.915 7.941 7.806
Mg 11.921 1.587 7.806
Mg 9.168 3.176 7.806
Mg 6.424 7.941 7.806
Mg 3.665 9.534 7.806
Mg 0.913 11.124 7.806
Mg 9.177 6.353 7.806
Mg 11.924 4.770 7.806
Mg 6.420 11.119 7.806
Mg 0.915 14.297 7.806
Mg 11.924 7.941 7.806
Mg 9.177 9.529 7.806
Mg 3.664 12.713 7.806
Mg 5.499 0.000 10.403
Mg 11.005 -3.179 10.403
Mg 11.005 3.179 10.403
Mg 8.251 -1.592 10.406
Mg 8.251 1.592 10.406
Mg 11.007 0.000 10.406
Mg 2.751 7.941 10.411
Mg 5.502 6.353 10.411
Mg 5.502 9.529 10.411
Mg 2.749 4.762 10.415
Mg 2.749 11.120 10.415
Mg 8.256 7.941 10.415
Mg 5.495 12.707 10.416
Mg 8.257 11.112 10.416
Mg 5.495 3.175 10.416
Mg 0.002 6.346 10.416
Mg 8.257 4.770 10.416
Mg 0.002 9.536 10.416
Mg 11.015 9.518 10.430
Mg 2.736 14.298 10.430
Mg 2.736 1.584 10.430
Mg 0.004 3.161 10.430
Mg 0.004 12.721 10.430
Mg 11.015 6.364 10.430
Mg 0.000 0.000 10.439
Mg 3.689 0.000 13.000
Mg 11.910 -4.747 13.000
Mg 11.910 4.747 13.000
Mg 9.170 0.000 13.010
Mg 9.167 -3.170 13.010
Mg 6.425 -1.587 13.010
Mg 11.916 -1.583 13.010
Mg 6.425 1.587 13.010
Mg 9.167 3.170 13.010
Mg 11.916 1.583 13.010
Mg 3.662 6.343 13.019
Mg 3.662 9.539 13.019
Mg 6.430 7.941 13.019
Mg 6.420 4.763 13.018
Mg 0.915 7.941 13.018
Mg 6.420 11.119 13.018
Mg 0.907 4.735 13.026
Mg 3.647 3.153 13.026
Mg 0.907 11.148 13.026
Mg 9.201 6.359 13.026
Mg 9.201 9.523 13.026
Mg 3.647 12.730 13.026
Mg 0.883 1.529 13.116
Mg 0.883 14.354 13.116
Mg 11.989 7.941 13.116
Pd 0.000 0.000 0.000



2
Lattice="3.189 0.000 0.000 0.000 3.189 0.000 0.000 0.000 3.189" Properties=species:S:1:pos:R:3 comment="MgPd (PBE, optimized geometry)" spacegroup="No. 221" e_form_ev_per_atom=-0.7418 pbc="T T T"
Mg 0.000 0.000 0.000
Pd 1.595 1.595 1.595